Mg14CuBi PBE optimized geometry; space group = P-6m2 (187)
1.0
6.314 0.000 0.000
-3.157 5.468 0.000
0.000 0.000 10.387
Mg Cu Bi
14 1 1
Direct
0.000 0.000 0.249 Mg
0.000 0.000 0.751 Mg
0.002 0.501 0.231 Mg
0.002 0.501 0.769 Mg
0.328 0.164 0.000 Mg
0.334 0.167 0.500 Mg
0.499 0.501 0.231 Mg
0.499 0.501 0.769 Mg
0.499 0.998 0.231 Mg
0.499 0.998 0.769 Mg
0.833 0.167 0.500 Mg
0.833 0.666 0.500 Mg
0.836 0.164 0.000 Mg
0.836 0.672 0.000 Mg
0.333 0.667 0.000 Cu
0.333 0.667 0.500 Bi

MgCu2Bi2O8 PBE optimized geometry; MP2020-corrected energy = -74.89 eV per formula unit; space group = P2_1/c (14)
1.0
6.430 0.000 0.000
0.000 8.571 0.000
-0.807 0.000 13.747
Mg Cu Bi O
4 8 8 32
Direct
0.105 0.151 0.049 Mg
0.105 0.349 0.549 Mg
0.895 0.651 0.451 Mg
0.895 0.849 0.951 Mg
0.249 0.697 0.607 Cu
0.249 0.803 0.107 Cu
0.356 0.066 0.614 Cu
0.356 0.434 0.114 Cu
0.644 0.566 0.886 Cu
0.644 0.934 0.386 Cu
0.751 0.197 0.893 Cu
0.751 0.303 0.393 Cu
0.099 0.060 0.333 Bi
0.099 0.440 0.833 Bi
0.366 0.596 0.363 Bi
0.366 0.904 0.863 Bi
0.634 0.096 0.137 Bi
0.634 0.404 0.637 Bi
0.901 0.560 0.167 Bi
0.901 0.940 0.667 Bi
0.037 0.236 0.909 O
0.037 0.264 0.409 O
0.077 0.123 0.609 O
0.077 0.377 0.109 O
0.108 0.044 0.187 O
0.108 0.456 0.687 O
0.198 0.567 0.496 O
0.198 0.933 0.996 O
0.281 0.617 0.180 O
0.281 0.883 0.680 O
0.362 0.540 0.904 O
0.362 0.960 0.404 O
0.394 0.236 0.064 O
0.394 0.264 0.564 O
0.487 0.132 0.858 O
0.487 0.368 0.358 O
0.513 0.632 0.642 O
0.513 0.868 0.142 O
0.606 0.736 0.436 O
0.606 0.764 0.936 O
0.638 0.040 0.596 O
0.638 0.460 0.096 O
0.719 0.117 0.320 O
0.719 0.383 0.820 O
0.802 0.067 0.004 O
0.802 0.433 0.504 O
0.892 0.544 0.313 O
0.892 0.956 0.813 O
0.923 0.623 0.891 O
0.923 0.877 0.391 O
0.963 0.736 0.591 O
0.963 0.764 0.091 O

Mg14CuBiO16 PBE optimized geometry; MP2020-corrected energy = -196.06 eV per formula unit; space group = Pmmm (47)
1.0
4.376 0.000 0.000
0.000 8.701 0.000
0.000 0.000 8.735
Mg Cu Bi O
14 1 1 16
Direct
0.000 0.000 0.000 Mg
0.000 0.237 0.245 Mg
0.000 0.237 0.755 Mg
0.000 0.500 0.000 Mg
0.000 0.763 0.245 Mg
0.000 0.763 0.755 Mg
0.500 0.000 0.251 Mg
0.500 0.000 0.749 Mg
0.500 0.230 0.500 Mg
0.500 0.246 0.000 Mg
0.500 0.500 0.235 Mg
0.500 0.500 0.765 Mg
0.500 0.754 0.000 Mg
0.500 0.770 0.500 Mg
0.000 0.000 0.500 Cu
0.000 0.500 0.500 Bi
0.000 0.000 0.229 O
0.000 0.000 0.771 O
0.000 0.237 0.500 O
0.000 0.252 0.000 O
0.000 0.500 0.232 O
0.000 0.500 0.768 O
0.000 0.748 0.000 O
0.000 0.763 0.500 O
0.500 0.000 0.000 O
0.500 0.000 0.500 O
0.500 0.252 0.251 O
0.500 0.252 0.749 O
0.500 0.500 0.000 O
0.500 0.500 0.500 O
0.500 0.748 0.251 O
0.500 0.748 0.749 O

MgCu3Bi4O12 PBE optimized geometry; MP2020-corrected energy = -115.20 eV per formula unit; space group = Im-3 (204)
1.0
-4.097 4.097 4.097
4.097 -4.097 4.097
4.097 4.097 -4.097
Mg Cu Bi O
1 3 4 12
Direct
0.000 0.000 0.000 Mg
0.000 0.500 0.500 Cu
0.500 0.000 0.500 Cu
0.500 0.500 0.000 Cu
0.000 0.000 0.500 Bi
0.000 0.500 0.000 Bi
0.500 0.000 0.000 Bi
0.500 0.500 0.500 Bi
0.154 0.319 0.473 O
0.154 0.681 0.834 O
0.166 0.846 0.319 O
0.319 0.166 0.846 O
0.319 0.473 0.154 O
0.473 0.154 0.319 O
0.527 0.846 0.681 O
0.681 0.527 0.846 O
0.681 0.834 0.154 O
0.834 0.154 0.681 O
0.846 0.319 0.166 O
0.846 0.681 0.527 O

Mg14CuBiO16 PBE optimized geometry; MP2020-corrected energy = -196.13 eV per formula unit; space group = P4/mmm (123)
1.0
8.725 0.000 0.000
0.000 8.725 0.000
0.000 0.000 4.365
Mg Cu Bi O
14 1 1 16
Direct
0.000 0.243 0.000 Mg
0.000 0.500 0.500 Mg
0.000 0.757 0.000 Mg
0.233 0.500 0.000 Mg
0.237 0.237 0.500 Mg
0.237 0.763 0.500 Mg
0.243 0.000 0.000 Mg
0.500 0.000 0.500 Mg
0.500 0.233 0.000 Mg
0.500 0.767 0.000 Mg
0.757 0.000 0.000 Mg
0.763 0.237 0.500 Mg
0.763 0.763 0.500 Mg
0.767 0.500 0.000 Mg
0.000 0.000 0.500 Cu
0.500 0.500 0.500 Bi
0.000 0.000 0.000 O
0.000 0.265 0.500 O
0.000 0.500 0.000 O
0.000 0.735 0.500 O
0.235 0.500 0.500 O
0.251 0.251 0.000 O
0.251 0.749 0.000 O
0.265 0.000 0.500 O
0.500 0.000 0.000 O
0.500 0.235 0.500 O
0.500 0.500 0.000 O
0.500 0.765 0.500 O
0.735 0.000 0.500 O
0.749 0.251 0.000 O
0.749 0.749 0.000 O
0.765 0.500 0.500 O

Sr2MgCu2Bi2O8 PBE optimized geometry; MP2020-corrected energy = -83.95 eV per formula unit; space group = I-4m2 (119)
1.0
-1.801 1.801 19.132
1.801 -1.801 19.132
1.801 1.801 -19.132
Sr Mg Cu Bi O
2 1 2 2 8
Direct
0.099 0.099 0.000 Sr
0.901 0.901 0.000 Sr
0.750 0.250 0.500 Mg
0.456 0.456 0.000 Cu
0.544 0.544 0.000 Cu
0.317 0.317 0.000 Bi
0.683 0.683 0.000 Bi
0.055 0.555 0.500 O
0.222 0.222 0.000 O
0.372 0.372 0.000 O
0.445 0.945 0.500 O
0.555 0.055 0.500 O
0.628 0.628 0.000 O
0.778 0.778 0.000 O
0.945 0.445 0.500 O

no.,calculated volume (Å³/atom),DFT formation energy (eV/atom)
1,22.42,0.00
2,14.57,-1.36
3,10.39,-2.70
4,13.75,-1.32
5,10.38,-2.71
6,16.54,-1.56